DFT (PBE with a Hubbard U) results for a relaxed structure of NaCaPrFeO6.

a = 8.0409 Å, b = 8.0409 Å, c = 8.0409 Å
α = 90.00°, β = 90.00°, γ = 90.00°
Space group F-43m (No. 216)
One atom of each set of equivalent atoms:
Na 0.0000 0.0000 0.0000 (multiplicity 4)
Ca 0.2500 0.2500 0.2500 (multiplicity 4)
Pr 0.0000 0.0000 0.5000 (multiplicity 4)
Fe 0.2500 0.2500 0.7500 (multiplicity 4)
O 0.0209 0.2500 0.7500 (multiplicity 24)

Values from the calculation:
- energy relative to the elements (eV/atom) = -2.12
- total moment (μB/f.u.) = 2.00
- uncorrected energy (eV per atom) = -6.1132

=====

DFT (PBE with a Hubbard U) results for a relaxed structure of Na3Ca2Fe5Si10O30.

a = 9.4452 Å, b = 10.3573 Å, c = 12.3697 Å
α = 109.21°, β = 94.04°, γ = 92.81°
Space group P1 (No. 1)
One atom of each set of equivalent atoms:
Na 0.0000 0.0000 0.0000 (multiplicity 1)
Na 0.0621 0.4176 0.9763 (multiplicity 1)
Na 0.2617 0.0211 0.3767 (multiplicity 1)
Na 0.4427 0.6053 0.7608 (multiplicity 1)
Na 0.6574 0.1934 0.1625 (multiplicity 1)
Na 0.8649 0.8173 0.5768 (multiplicity 1)
Ca 0.2179 0.5977 0.4028 (multiplicity 1)
Ca 0.4305 0.2120 0.8032 (multiplicity 1)
Ca 0.6486 0.8135 0.2118 (multiplicity 1)
Ca 0.8303 0.4082 0.5997 (multiplicity 1)
Fe 0.1090 0.3308 0.4554 (multiplicity 1)
Fe 0.1735 0.6852 0.9197 (multiplicity 1)
Fe 0.2932 0.9408 0.8606 (multiplicity 1)
Fe 0.3829 0.2780 0.3172 (multiplicity 1)
Fe 0.5062 0.5333 0.2580 (multiplicity 1)
Fe 0.5874 0.8799 0.7252 (multiplicity 1)
Fe 0.7099 0.1365 0.6596 (multiplicity 1)
Fe 0.7889 0.4722 0.1168 (multiplicity 1)
Fe 0.9120 0.7352 0.0571 (multiplicity 1)
Fe 0.9880 0.0784 0.5174 (multiplicity 1)
Si 0.0203 0.1097 0.7900 (multiplicity 1)
Si 0.0714 0.3129 0.1859 (multiplicity 1)
Si 0.1403 0.6729 0.6534 (multiplicity 1)
Si 0.1497 0.3497 0.7261 (multiplicity 1)
Si 0.2167 0.7015 0.1930 (multiplicity 1)
Si 0.2695 0.9167 0.5894 (multiplicity 1)
Si 0.3337 0.9487 0.1298 (multiplicity 1)
Si 0.3403 0.2810 0.0494 (multiplicity 1)
Si 0.4213 0.3048 0.5878 (multiplicity 1)
Si 0.4864 0.5292 0.9918 (multiplicity 1)
Si 0.5405 0.8702 0.4548 (multiplicity 1)
Si 0.5472 0.5545 0.5265 (multiplicity 1)
Si 0.5534 0.8243 0.9830 (multiplicity 1)
Si 0.6735 0.1177 0.3887 (multiplicity 1)
Si 0.7438 0.4697 0.8515 (multiplicity 1)
Si 0.7522 0.1465 0.9296 (multiplicity 1)
Si 0.8164 0.5031 0.3888 (multiplicity 1)
Si 0.8694 0.7186 0.7879 (multiplicity 1)
Si 0.9433 0.0647 0.2510 (multiplicity 1)
Si 0.9457 0.7472 0.3289 (multiplicity 1)
O 0.0345 0.1189 0.3773 (multiplicity 1)
O 0.0425 0.2909 0.6079 (multiplicity 1)
O 0.1070 0.9902 0.8146 (multiplicity 1)
O 0.1143 0.4919 0.8155 (multiplicity 1)
O 0.1166 0.7496 0.3048 (multiplicity 1)
O 0.1220 0.6495 0.0718 (multiplicity 1)
O 0.1428 0.2326 0.7927 (multiplicity 1)
O 0.1578 0.7845 0.5806 (multiplicity 1)
O 0.1720 0.2691 0.0750 (multiplicity 1)
O 0.1739 0.3701 0.3052 (multiplicity 1)
O 0.1787 0.0309 0.5611 (multiplicity 1)
O 0.1850 0.5335 0.5637 (multiplicity 1)
O 0.2391 0.7371 0.7739 (multiplicity 1)
O 0.2451 0.8987 0.0023 (multiplicity 1)
O 0.3014 0.0929 0.2162 (multiplicity 1)
O 0.3140 0.2573 0.4728 (multiplicity 1)
O 0.3152 0.5932 0.2264 (multiplicity 1)
O 0.3204 0.8377 0.2010 (multiplicity 1)
O 0.3222 0.3577 0.7008 (multiplicity 1)
O 0.3643 0.4014 0.9814 (multiplicity 1)
O 0.3708 0.8590 0.4800 (multiplicity 1)
O 0.3728 0.1373 0.9526 (multiplicity 1)
O 0.3733 0.9643 0.7114 (multiplicity 1)
O 0.4322 0.6706 0.9707 (multiplicity 1)
O 0.4454 0.3339 0.1677 (multiplicity 1)
O 0.4465 0.5034 0.4046 (multiplicity 1)
O 0.5017 0.8538 0.8655 (multiplicity 1)
O 0.5043 0.9385 0.1009 (multiplicity 1)
O 0.5102 0.6981 0.6171 (multiplicity 1)
O 0.5151 0.1942 0.6229 (multiplicity 1)
O 0.5315 0.4390 0.5941 (multiplicity 1)
O 0.5657 0.9815 0.3848 (multiplicity 1)
O 0.5724 0.4575 0.8762 (multiplicity 1)
O 0.5788 0.7278 0.3605 (multiplicity 1)
O 0.5815 0.5644 0.1147 (multiplicity 1)
O 0.5899 0.2356 0.3652 (multiplicity 1)
O 0.6373 0.9301 0.5792 (multiplicity 1)
O 0.6502 0.0955 0.8008 (multiplicity 1)
O 0.6962 0.7699 0.0195 (multiplicity 1)
O 0.7069 0.2970 0.0103 (multiplicity 1)
O 0.7121 0.4641 0.2690 (multiplicity 1)
O 0.7166 0.5607 0.5004 (multiplicity 1)
O 0.7403 0.0371 0.9928 (multiplicity 1)
O 0.7619 0.5811 0.7806 (multiplicity 1)
O 0.7706 0.0511 0.2777 (multiplicity 1)
O 0.7748 0.3281 0.7532 (multiplicity 1)
O 0.7749 0.8269 0.7524 (multiplicity 1)
O 0.7770 0.1586 0.5111 (multiplicity 1)
O 0.8410 0.5190 0.9738 (multiplicity 1)
O 0.8441 0.6860 0.2091 (multiplicity 1)
O 0.9031 0.3896 0.4216 (multiplicity 1)
O 0.9061 0.8916 0.4176 (multiplicity 1)
O 0.9153 0.0662 0.6683 (multiplicity 1)
O 0.9189 0.1716 0.8949 (multiplicity 1)
O 0.9314 0.6346 0.3991 (multiplicity 1)
O 0.9664 0.1806 0.1862 (multiplicity 1)
O 0.9686 0.6567 0.6752 (multiplicity 1)
O 0.9704 0.7668 0.9052 (multiplicity 1)
O 0.9738 0.4256 0.1610 (multiplicity 1)
O 0.9832 0.9215 0.1660 (multiplicity 1)

Values from the calculation:
- energy relative to the elements (eV/atom) = -2.81
- total moment (μB/f.u.) = 23.00
- uncorrected energy (eV per atom) = -7.2360

=====

DFT (PBE with a Hubbard U) results for a relaxed structure of Na3CaFe4Si8O24.

a = 12.4406 Å, b = 9.1871 Å, c = 10.8916 Å
α = 90.00°, β = 123.91°, γ = 90.00°
Space group C2 (No. 5)
One atom of each set of equivalent atoms:
Na 0.0000 0.0000 0.0000 (multiplicity 2)
Na 0.2363 0.5798 0.2444 (multiplicity 4)
Ca 0.0000 0.5281 0.5000 (multiplicity 2)
Fe 0.0000 0.3816 0.0000 (multiplicity 2)
Fe 0.0000 0.9092 0.5000 (multiplicity 2)
Fe 0.2469 0.1980 0.2427 (multiplicity 4)
Si 0.0155 0.3086 0.2462 (multiplicity 4)
Si 0.0154 0.8314 0.7472 (multiplicity 4)
Si 0.2297 0.7727 0.5021 (multiplicity 4)
Si 0.2368 0.2729 0.0010 (multiplicity 4)
O 0.0305 0.9866 0.6851 (multiplicity 4)
O 0.0323 0.4649 0.1864 (multiplicity 4)
O 0.0543 0.1938 0.1611 (multiplicity 4)
O 0.0546 0.7156 0.6616 (multiplicity 4)
O 0.1069 0.8146 0.9310 (multiplicity 4)
O 0.1115 0.2975 0.4321 (multiplicity 4)
O 0.1405 0.7930 0.3180 (multiplicity 4)
O 0.1416 0.2859 0.8155 (multiplicity 4)
O 0.1905 0.3824 0.0836 (multiplicity 4)
O 0.1903 0.8911 0.5833 (multiplicity 4)
O 0.2068 0.6166 0.5585 (multiplicity 4)
O 0.2281 0.1147 0.0621 (multiplicity 4)

Values from the calculation:
- energy relative to the elements (eV/atom) = -2.59
- total moment (μB/f.u.) = 19.00
- uncorrected energy (eV per atom) = -7.0009
- polymorph energy (0 for the lowest one) (meV per atom) = 205

=====

DFT (PBE with a Hubbard U) results for a relaxed structure of NaCaFe2Si4O12.

a = 5.3523 Å, b = 9.0471 Å, c = 9.7955 Å
α = 90.00°, β = 105.01°, γ = 90.00°
Space group P2 (No. 3)
One atom of each set of equivalent atoms:
Na 0.0000 0.0000 0.0000 (multiplicity 1)
Na 0.5000 0.4929 0.5000 (multiplicity 1)
Ca 0.0000 0.0902 0.5000 (multiplicity 1)
Ca 0.5000 0.5992 0.0000 (multiplicity 1)
Fe 0.0000 0.3859 0.0000 (multiplicity 1)
Fe 0.0000 0.6905 0.5000 (multiplicity 1)
Fe 0.5000 0.1905 0.0000 (multiplicity 1)
Fe 0.5000 0.8854 0.5000 (multiplicity 1)
Si 0.1912 0.6996 0.2108 (multiplicity 2)
Si 0.1952 0.3876 0.7096 (multiplicity 2)
Si 0.2996 0.8812 0.7875 (multiplicity 2)
Si 0.3024 0.2067 0.2882 (multiplicity 2)
O 0.0927 0.3074 0.3528 (multiplicity 2)
O 0.1027 0.7722 0.8537 (multiplicity 2)
O 0.2014 0.5470 0.6373 (multiplicity 2)
O 0.2023 0.5421 0.1327 (multiplicity 2)
O 0.2074 0.8709 0.6146 (multiplicity 2)
O 0.2135 0.2211 0.1166 (multiplicity 2)
O 0.2654 0.7037 0.3830 (multiplicity 2)
O 0.2701 0.3889 0.8831 (multiplicity 2)
O 0.2952 0.0485 0.3617 (multiplicity 2)
O 0.2960 0.0414 0.8538 (multiplicity 2)
O 0.4029 0.2815 0.6522 (multiplicity 2)
O 0.4103 0.7989 0.1544 (multiplicity 2)

Values from the calculation:
- energy relative to the elements (eV/atom) = -2.87
- total moment (μB/f.u.) = 4.00
- uncorrected energy (eV per atom) = -7.2967
- polymorph energy (0 for the lowest one) (meV per atom) = 2